The following is a PBE calculation of crystalline RbIn4 at its relaxed geometry, from the Materials Project database.

Results
- calculated total energy (eV/atom) = -2.510
- V (Å³ per cell) = 330.5

The structure in CIF format:
```
data_RbIn4
_space_group_name_H-M_alt 'I 4/m m m'
_space_group_IT_number 139
_space_group_name_Hall '-I 4 2'
_cell_length_a 5.081
_cell_length_b 5.081
_cell_length_c 12.803
_cell_angle_alpha 90.00
_cell_angle_beta 90.00
_cell_angle_gamma 90.00
loop_
_atom_site_label
_atom_site_type_symbol
_atom_site_fract_x
_atom_site_fract_y
_atom_site_fract_z
Rb1 Rb 0.000 0.000 0.000
In1 In 0.000 0.000 0.385
In2 In 0.000 0.500 0.250
```